--- w ---
Material: Na2NiH4Se2O10
Method: DFT, GGA+U
State: relaxed

Geometry as POSCAR:
```
Na2NiH4Se2O10
1.0
-2.8341 -4.7180 -1.6427
7.1437 -3.5872 -0.7500
0.6746 1.5273 7.2887
O Na H Se Ni
10 2 4 2 1
Direct
0.2687 0.5943 0.1096
0.6026 0.7099 0.9730
0.3974 0.2901 0.0270
0.2792 0.9803 0.2196
0.7313 0.4057 0.8904
0.8107 0.6200 0.3597
0.0954 0.9745 0.5742
0.9046 0.0255 0.4258
0.1893 0.3800 0.6403
0.7208 0.0197 0.7804
0.7515 0.3246 0.3717
0.2485 0.6754 0.6283
0.2991 0.4748 0.0712
0.5510 0.5304 0.4990
0.7009 0.5252 0.9288
0.4490 0.4696 0.5010
0.5714 0.7287 0.1905
0.4286 0.2713 0.8095
0.0000 0.0000 0.0000
```

Results
Crystal system = triclinic
V = 15.632 A^3/atom
Space group = P-1 (2)

=====

--- x ---
Material: Na2NiH4Se2O10
Method: DFT, GGA+U
State: relaxed

Geometry as POSCAR:
```
Na2NiH4Se2O10
1.0
0.0162 -0.0149 5.6139
5.7613 -0.1082 -1.6920
-2.9004 6.8221 -1.1881
Na O H Ni Se
2 10 4 1 2
Direct
0.6635 0.2922 0.7489
0.3365 0.7078 0.2511
0.6194 0.7586 0.9373
0.0731 0.9611 0.2614
0.3563 0.8341 0.6273
0.2749 0.3576 0.6287
0.1040 0.6790 0.8776
0.3806 0.2414 0.0627
0.7251 0.6424 0.3713
0.9269 0.0389 0.7386
0.6437 0.1659 0.3727
0.8960 0.3210 0.1224
0.0820 0.1416 0.7163
0.9180 0.8584 0.2837
0.8539 0.8739 0.6210
0.1461 0.1261 0.3790
0.0000 0.0000 0.0000
0.3388 0.6669 0.7628
0.6612 0.3331 0.2372
```

Results
Crystal system = triclinic
V = 11.521 A^3/atom
Space group = P-1 (2)

=====

Which of them is most stable? Easy: x.

=====

--- w ---
Material: V2NiP2H6O13
Method: DFT, GGA+U
State: relaxed

Geometry as POSCAR:
```
V2NiP2H6O13
1.0
-4.6643 0.3775 -8.3324
-7.3128 -6.7034 3.7898
-5.6973 8.2291 3.5621
O P H V Ni
52 8 24 8 4
Direct
0.7500 0.0155 0.9733
0.3746 0.4863 0.5985
0.3948 0.2743 0.3063
0.3741 0.4446 0.8973
0.2500 0.4853 0.1474
0.6254 0.5137 0.4015
0.8946 0.3222 0.9010
0.7500 0.2667 0.6005
0.6259 0.5554 0.1027
0.8948 0.7743 0.1937
0.1054 0.6778 0.0990
0.2500 0.0147 0.6474
0.8741 0.9446 0.6027
0.0966 0.2399 0.5454
0.0966 0.2601 0.0454
0.6054 0.1778 0.4010
0.3741 0.0554 0.3973
0.9034 0.7399 0.9546
0.7500 0.9853 0.3526
0.9034 0.7601 0.4546
0.3946 0.8222 0.5990
0.1259 0.0554 0.3973
0.8746 0.9863 0.9015
0.5966 0.7601 0.4546
0.8746 0.5137 0.4015
0.6052 0.7257 0.6937
0.1052 0.2743 0.3063
0.2500 0.7667 0.8995
0.3946 0.6778 0.0990
0.1259 0.4446 0.8973
0.2500 0.7333 0.3995
0.2500 0.9845 0.0267
0.1052 0.2257 0.8063
0.6259 0.9446 0.6027
0.5966 0.7399 0.9546
0.8948 0.7257 0.6937
0.7500 0.2333 0.1005
0.2500 0.5155 0.5267
0.4034 0.2399 0.5454
0.1254 0.4863 0.5985
0.6054 0.3222 0.9010
0.1254 0.0137 0.0985
0.6052 0.7743 0.1937
0.4034 0.2601 0.0454
0.7500 0.5147 0.8526
0.1054 0.8222 0.5990
0.3746 0.0137 0.0985
0.8741 0.5554 0.1027
0.3948 0.2257 0.8063
0.7500 0.4845 0.4733
0.6254 0.9863 0.9015
0.8946 0.1778 0.4010
0.4438 0.3087 0.9138
0.5562 0.8087 0.5862
0.4438 0.1913 0.4138
0.9438 0.6913 0.0862
0.0562 0.3087 0.9138
0.9438 0.8087 0.5862
0.5562 0.6913 0.0862
0.0562 0.1913 0.4138
0.8955 0.6013 0.4314
0.7894 0.3987 0.2401
0.2106 0.6013 0.7599
0.7500 0.9260 0.6227
0.7106 0.3987 0.2401
0.7500 0.3293 0.5317
0.2500 0.4260 0.8773
0.8955 0.8987 0.9314
0.2500 0.6707 0.4683
0.7106 0.1013 0.7401
0.7894 0.1013 0.7401
0.7500 0.5740 0.1227
0.1045 0.3987 0.5686
0.6045 0.6013 0.4314
0.2894 0.6013 0.7599
0.1045 0.1013 0.0686
0.7500 0.1707 0.0317
0.2500 0.8293 0.9683
0.2500 0.0740 0.3773
0.2894 0.8987 0.2599
0.3955 0.1013 0.0686
0.2106 0.8987 0.2599
0.6045 0.8987 0.9314
0.3955 0.3987 0.5686
0.7500 0.8140 0.3239
0.7500 0.0882 0.5145
0.2500 0.9118 0.4855
0.7500 0.6860 0.8239
0.2500 0.5882 0.9855
0.2500 0.3140 0.1761
0.2500 0.1860 0.6761
0.7500 0.4118 0.0145
0.2500 0.8573 0.7437
0.2500 0.6427 0.2437
0.7500 0.3573 0.7563
0.7500 0.1427 0.2563
```

Results
Crystal system = orthorhombic
V = 11.231 A^3/atom
Space group = Pnma (62)

=====

--- x ---
Material: V2NiP2H6O13
Method: DFT, GGA+U
State: relaxed

Geometry as POSCAR:
```
V2NiP2H6O13
1.0
9.5208 0.0000 0.0000
0.0000 9.8242 0.0000
0.0000 0.0000 10.4284
H O V Ni P
24 52 8 4 8
Direct
0.7500 0.9971 0.9397
0.0238 0.8871 0.9013
0.2500 0.9834 0.2134
0.4322 0.4636 0.3508
0.5238 0.1129 0.0987
0.9322 0.9636 0.1492
0.9762 0.3871 0.5987
0.0678 0.0364 0.8508
0.0678 0.4636 0.3508
0.9322 0.5364 0.6492
0.5678 0.9636 0.1492
0.4762 0.6129 0.4013
0.2500 0.4971 0.5603
0.5678 0.5364 0.6492
0.9762 0.1129 0.0987
0.0238 0.6129 0.4013
0.2500 0.5166 0.7134
0.7500 0.5029 0.4397
0.5238 0.3871 0.5987
0.7500 0.0166 0.7866
0.7500 0.4834 0.2866
0.4322 0.0364 0.8508
0.2500 0.0029 0.0603
0.4762 0.8871 0.9013
0.3853 0.8194 0.5974
0.6035 0.0524 0.1209
0.1046 0.4660 0.9009
0.7500 0.9501 0.8568
0.2500 0.0509 0.6412
0.6147 0.1806 0.4026
0.9045 0.7435 0.4713
0.7500 0.5499 0.3568
0.2500 0.4491 0.1412
0.3853 0.6806 0.0974
0.6035 0.4476 0.6209
0.3965 0.9476 0.8791
0.2500 0.6977 0.8468
0.2500 0.8023 0.3468
0.1035 0.5524 0.3791
0.2500 0.0499 0.1432
0.1147 0.6806 0.0974
0.1046 0.0340 0.4009
0.7500 0.5509 0.8588
0.9045 0.7565 0.9713
0.7500 0.1977 0.6532
0.3965 0.5524 0.3791
0.8954 0.9660 0.5991
0.0955 0.2565 0.5287
0.5955 0.7565 0.9713
0.4017 0.2372 0.7868
0.4045 0.2565 0.5287
0.8965 0.0524 0.1209
0.8853 0.3194 0.9026
0.5983 0.7372 0.7132
0.7500 0.3023 0.1532
0.4045 0.2435 0.0287
0.4017 0.2628 0.2868
0.7500 0.9491 0.3588
0.3954 0.0340 0.4009
0.8954 0.5340 0.0991
0.3954 0.4660 0.9009
0.6147 0.3194 0.9026
0.5955 0.7435 0.4713
0.5983 0.7628 0.2132
0.1035 0.9476 0.8791
0.2500 0.4501 0.6432
0.0983 0.2372 0.7868
0.8965 0.4476 0.6209
0.9017 0.7372 0.7132
0.0955 0.2435 0.0287
0.6046 0.9660 0.5991
0.1147 0.8194 0.5974
0.6046 0.5340 0.0991
0.9017 0.7628 0.2132
0.0983 0.2628 0.2868
0.8853 0.1806 0.4026
0.7500 0.4116 0.0299
0.2500 0.2239 0.6553
0.2500 0.2761 0.1553
0.2500 0.5884 0.9701
0.7500 0.7239 0.8447
0.2500 0.9116 0.4701
0.7500 0.7761 0.3447
0.7500 0.0884 0.5299
0.2500 0.8725 0.7515
0.7500 0.1275 0.2485
0.2500 0.6275 0.2515
0.7500 0.3725 0.7485
0.4497 0.1805 0.4049
0.4497 0.3195 0.9049
0.0503 0.3195 0.9049
0.5503 0.8195 0.5951
0.5503 0.6805 0.0951
0.9497 0.8195 0.5951
0.0503 0.1805 0.4049
0.9497 0.6805 0.0951
```

Results
Crystal system = orthorhombic
V = 10.161 A^3/atom
Space group = Pnma (62)

=====

Which of them is most stable? Easy: x.

=====

--- w ---
Material: NiH12SO9
Method: DFT, GGA+U
State: relaxed

Geometry as POSCAR:
```
NiH12SO9
1.0
-1.5350 4.7972 3.1291
-7.3708 -2.5951 -1.6835
0.0188 -9.5644 14.6732
H O S Ni
48 36 4 4
Direct
0.8037 0.2818 0.4538
0.0296 0.2559 0.8515
0.1893 0.5890 0.3926
0.2766 0.2383 0.0851
0.3737 0.9965 0.4037
0.3739 0.4965 0.1536
0.5529 0.4942 0.2677
0.1403 0.1916 0.7748
0.0682 0.3427 0.9670
0.9589 0.2912 0.1308
0.2769 0.2384 0.5851
0.0682 0.3429 0.4670
0.8038 0.7817 0.2038
0.1894 0.0889 0.6425
0.3738 0.9964 0.9036
0.0296 0.7558 0.1015
0.7413 0.8912 0.3754
0.6418 0.9407 0.5998
0.4086 0.6723 0.6978
0.9590 0.7914 0.3809
0.9588 0.2912 0.6309
0.9587 0.7911 0.8808
0.5528 0.9941 0.0177
0.1403 0.6915 0.0248
0.7412 0.3911 0.1254
0.7411 0.8911 0.8754
0.0296 0.2557 0.3515
0.7412 0.3912 0.6254
0.1893 0.5888 0.8925
0.4085 0.1724 0.4478
0.2767 0.7383 0.8351
0.8038 0.2816 0.9538
0.3738 0.4964 0.6536
0.1402 0.6918 0.5248
0.4085 0.1723 0.9479
0.0683 0.8427 0.2170
0.4085 0.6723 0.1979
0.5528 0.9942 0.5176
0.6419 0.4407 0.3498
0.1404 0.1916 0.2748
0.0681 0.8428 0.7171
0.2767 0.7384 0.3351
0.8038 0.7816 0.7038
0.5529 0.4941 0.7677
0.1893 0.0888 0.1425
0.6420 0.4407 0.8498
0.6419 0.9406 0.0998
0.0295 0.7558 0.6015
0.9573 0.2430 0.4500
0.2479 0.5194 0.4805
0.3428 0.0500 0.4537
0.0899 0.2910 0.3003
0.6902 0.9907 0.5496
0.1427 0.6501 0.8464
0.4803 0.4030 0.0776
0.3428 0.5499 0.7037
0.1427 0.1502 0.5964
0.8915 0.3901 0.6502
0.1427 0.1500 0.0964
0.4804 0.9031 0.3276
0.4802 0.9030 0.8276
0.9574 0.7428 0.2000
0.0896 0.2910 0.8003
0.9573 0.2428 0.9499
0.8916 0.3901 0.1501
0.0896 0.7911 0.5503
0.1428 0.6500 0.3464
0.2480 0.0194 0.2305
0.5584 0.3640 0.9419
0.2480 0.0194 0.7305
0.9573 0.7428 0.7000
0.6903 0.9906 0.0495
0.3428 0.5499 0.2037
0.5583 0.3640 0.4419
0.8915 0.8901 0.4002
0.6903 0.4906 0.2996
0.0896 0.7909 0.0503
0.3427 0.0499 0.9536
0.5583 0.8640 0.6918
0.5583 0.8640 0.1919
0.6904 0.4906 0.7995
0.4803 0.4030 0.5776
0.2480 0.5193 0.9805
0.8915 0.8901 0.9001
0.4992 0.4991 0.5000
0.4992 0.9991 0.7500
0.4992 0.9991 0.2500
0.4992 0.4991 0.0000
0.0089 0.0091 0.0000
0.0091 0.5091 0.2500
0.0084 0.0088 0.5002
0.0091 0.5091 0.7501
```

Results
V = 8.941 A^3/atom

=====

--- x ---
Material: NiH12SO9
Method: DFT, GGA+U
State: relaxed

Geometry as POSCAR:
```
NiH12SO9
1.0
6.4867 4.1076 3.0345
-3.0680 3.2203 3.7308
-2.8715 -7.9829 5.5461
H O S Ni
12 9 1 1
Direct
0.0922 0.5608 0.5361
0.3175 0.0832 0.4429
0.3540 0.6614 0.8529
0.5799 0.5600 0.5240
0.7864 0.2395 0.4344
0.7926 0.2155 0.1079
0.6516 0.4303 0.0380
0.1574 0.6261 0.5914
0.7009 0.2089 0.3771
0.4268 0.8308 0.7717
0.6416 0.0171 0.6222
0.0008 0.6801 0.7648
0.8301 0.6769 0.9226
0.0644 0.5537 0.2675
0.6637 0.2645 0.0679
0.0576 0.3517 0.3099
0.4344 0.0439 0.4407
0.8624 0.3009 0.8387
0.0812 0.5745 0.8533
0.3345 0.8204 0.8074
0.5384 0.9291 0.5907
0.9700 0.4701 0.9388
0.8494 0.9945 0.8992
```

Results
Crystal system = triclinic
V = 19.013 A^3/atom
Space group = P1 (1)

=====

Which of them is most stable? Easy: w.